(1)
The following is a DFT calculation (r2SCAN) of a relaxed structure of Hf.

Values from the calculation:
Energy above the lowest structure with this stoichiometry (meV/atom): 32.2
ΔE_f (eV/atom): 0.032
Space-group type: P6/mmm, No. 191
Calculated total energy (eV/atom): -45.12

```
Hf
1.0
4.962 0.000 0.000
-2.481 4.298 0.000
0.000 0.000 3.086
Hf
3
Cartesian
0.000 2.865 1.543
0.000 0.000 0.000
2.481 1.433 1.543
```

(2)
The following is a DFT calculation (r2SCAN) of a relaxed structure of Ho2Hf2O7.

Values from the calculation:
ΔE_f (eV/atom): -3.919
Space-group type: Fd-3m, No. 227
Calculated total energy (eV/atom): -21.91

```
Ho2Hf2O7
1.0
0.000 5.196 5.196
5.196 0.000 5.196
5.196 5.196 0.000
O Ho Hf
14 4 4
Cartesian
5.573 7.794 7.794
7.417 5.196 5.196
7.794 10.015 7.794
5.196 5.196 2.975
7.794 5.573 7.794
10.015 7.794 7.794
7.794 7.794 5.573
2.598 2.598 2.598
7.794 7.794 10.015
0.000 0.000 0.000
5.196 2.975 5.196
5.196 5.196 7.417
5.196 7.417 5.196
2.975 5.196 5.196
3.897 3.897 1.299
3.897 1.299 3.897
1.299 1.299 1.299
1.299 3.897 3.897
3.897 6.495 3.897
6.495 3.897 3.897
3.897 3.897 6.495
6.495 6.495 6.495
```

(3)
The following is a DFT calculation (r2SCAN) of a relaxed structure of Ho2HfS5.

Values from the calculation:
ΔE_f (eV/atom): -2.147
Space-group type: Pnma, No. 62
Calculated total energy (eV/atom): -21.03

```
Ho2HfS5
1.0
-3.019 -4.383 4.878
5.563 1.743 5.009
-6.306 8.749 3.959
S Ho Hf
20 8 4
Cartesian
-4.157 7.248 7.568
-2.846 2.912 2.570
0.395 -1.139 6.278
-2.272 9.798 7.959
-2.902 -0.554 6.364
1.929 1.760 6.091
-0.916 3.197 11.276
-5.691 4.349 7.755
-6.539 6.502 5.423
-0.311 3.692 7.907
-3.299 2.451 9.131
-3.007 5.547 10.255
-0.755 0.562 3.592
-3.451 2.417 5.940
-1.490 -3.689 5.887
-3.410 5.661 4.765
-0.352 0.448 9.081
2.777 -0.393 8.423
-0.860 6.663 7.482
-0.463 3.658 4.716
-0.831 1.391 6.303
-8.117 2.896 8.040
-3.581 0.530 3.826
1.605 2.351 3.330
-0.181 5.580 10.021
-2.931 4.718 7.544
-5.367 3.758 10.517
4.355 3.213 5.807
-3.382 8.150 9.766
-4.586 0.804 7.762
-0.380 -2.041 4.080
0.825 5.305 6.084
```